1.
Computed, not measured: Ba2YB2ClO6 after structural relaxation at the GGA-PBE level of DFT.

Calculated values
As for the formation energy: -39.20 eV per formula unit. For the final energy, the calculation gives -7.5229 eV/atom. Its symmetry is P2_1/m (11). As for the crystal system: monoclinic. The value obtained for the total moment is 0.00 μB per formula unit.

Cell lengths 6.500, 5.361, 11.491 Å; angles 90.00, 95.78, 90.00 degrees
Atoms (fractional coordinates):
Ba 0.098 0.250 0.206
Ba 0.338 0.250 0.574
Ba 0.662 0.750 0.426
Ba 0.902 0.750 0.794
Y 0.343 0.250 0.912
Y 0.657 0.750 0.088
B 0.214 0.750 0.073
B 0.371 0.750 0.725
B 0.629 0.250 0.275
B 0.786 0.250 0.927
Cl 0.152 0.750 0.415
Cl 0.848 0.250 0.585
O 0.011 0.750 0.093
O 0.286 0.528 0.762
O 0.286 0.972 0.762
O 0.328 0.531 0.066
O 0.328 0.969 0.066
O 0.480 0.250 0.353
O 0.520 0.750 0.647
O 0.672 0.031 0.934
O 0.672 0.469 0.934
O 0.714 0.028 0.238
O 0.714 0.472 0.238
O 0.989 0.250 0.907

2.
Computed, not measured: PrZnSbO after structural relaxation at the GGA-PBE level of DFT.

Calculated values
As for the formation energy: -7.27 eV per formula unit. For the final energy, the calculation gives -5.4255 eV/atom. Its symmetry is P4/nmm (129). As for the crystal system: tetragonal. The value obtained for the total moment is 0.00 μB per formula unit.

Cell lengths 4.210, 4.210, 9.669 Å; angles 90.00, 90.00, 90.00 degrees
Atoms (fractional coordinates):
Pr 0.250 0.250 0.118
Pr 0.750 0.750 0.882
Zn 0.250 0.750 0.500
Zn 0.750 0.250 0.500
Sb 0.250 0.250 0.681
Sb 0.750 0.750 0.319
O 0.250 0.750 0.000
O 0.750 0.250 0.000

3.
Computed, not measured: AlPS4 after structural relaxation at the GGA-PBE level of DFT.

Calculated values
As for the formation energy: -5.52 eV per formula unit. For the final energy, the calculation gives -4.8682 eV/atom. Its symmetry is P222 (16). As for the crystal system: orthorhombic. The value obtained for the largest piezoelectric modulus is 0.01 C/m².

Cell lengths 5.712, 5.716, 11.467 Å; angles 90.00, 90.00, 90.00 degrees
Atoms (fractional coordinates):
Al 0.000 0.000 0.000
Al 0.500 0.000 0.500
P 0.000 0.000 0.500
P 0.000 0.500 0.000
S 0.198 0.276 0.102
S 0.198 0.724 0.898
S 0.224 0.199 0.601
S 0.224 0.801 0.399
S 0.776 0.199 0.399
S 0.776 0.801 0.601
S 0.802 0.276 0.898
S 0.802 0.724 0.102